[1]
# TeI7, relaxed, DFT r2SCAN
# - energy (eV per atom) = -24.60
# - size of the total moment (μB/cell) = 0.00
data_TeI7
_chemical_formula_sum 'Te2 I14'
_symmetry_space_group_name_H-M 'P m m 2'
_symmetry_Int_Tables_number 25
_cell_length_a 12.010
_cell_length_b 12.021
_cell_length_c 6.197
_cell_angle_alpha 90.00
_cell_angle_beta 90.00
_cell_angle_gamma 90.00
loop_
_symmetry_equiv_pos_as_xyz
'x,y,z'
'-x,-y,z'
'-x,y,z'
'x,-y,z'
loop_
_atom_site_label
_atom_site_type_symbol
_atom_site_fract_x
_atom_site_fract_y
_atom_site_fract_z
Te1 Te 0.000 0.000 0.000
Te2 Te 0.500 0.500 0.494
I1 I 0.000 0.000 0.501
I2 I 0.000 0.243 0.036
I3 I 0.000 0.500 0.011
I4 I 0.000 0.500 0.511
I5 I 0.244 0.000 0.962
I6 I 0.257 0.500 0.533
I7 I 0.500 0.000 0.478
I8 I 0.500 0.000 0.977
I9 I 0.500 0.257 0.459
I10 I 0.500 0.500 0.996

[2]
# GdCrO4, relaxed, DFT r2SCAN
# - energy (eV per atom) = -16.52
# - size of the total moment (μB/cell) = 32.00
data_GdCrO4
_chemical_formula_sum 'Gd4 Cr4 O16'
_symmetry_space_group_name_H-M 'I 41 2 2'
_symmetry_Int_Tables_number 98
_symmetry_space_group_name_Hall 'I 4bw 2bw'
_cell_length_a 7.191
_cell_length_b 7.191
_cell_length_c 6.316
_cell_angle_alpha 90.00
_cell_angle_beta 90.00
_cell_angle_gamma 90.00
loop_
_atom_site_label
_atom_site_type_symbol
_atom_site_fract_x
_atom_site_fract_y
_atom_site_fract_z
Gd1 Gd 0.000 0.000 0.000
Cr1 Cr 0.000 0.000 0.500
O1 O 0.005 0.181 0.328

[3]
# Pr2Co12P7, relaxed, DFT r2SCAN
# - energy (eV per atom) = -14.03
# - size of the total moment (μB/cell) = 9.41
data_Pr2Co12P7
_chemical_formula_sum 'Pr2 Co12 P7'
_symmetry_space_group_name_H-M 'P -6'
_symmetry_Int_Tables_number 174
_cell_length_a 8.9980
_cell_length_b 8.9980
_cell_length_c 3.6983
_cell_angle_alpha 90.00
_cell_angle_beta 90.00
_cell_angle_gamma 120.00
loop_
_symmetry_equiv_pos_as_xyz
'x,y,z'
'-x+y,-x,-z'
'-y,x-y,z'
'x,y,-z'
'-x+y,-x,z'
'-y,x-y,-z'
loop_
_atom_site_label
_atom_site_type_symbol
_atom_site_fract_x
_atom_site_fract_y
_atom_site_fract_z
Pr1 Pr 0.0000 0.0000 0.0000
Pr2 Pr 0.3333 0.6667 0.5000
Co1 Co 0.0480 0.7614 0.5000
Co2 Co 0.0911 0.3916 0.0000
Co3 Co 0.3958 0.2135 0.0000
Co4 Co 0.5517 0.1264 0.5000
P1 P 0.0733 0.6371 0.0000
P2 P 0.2698 0.0418 0.5000
P3 P 0.6667 0.3333 0.0000

[4]
# Y2Si2O7, relaxed, DFT r2SCAN
# - energy (eV per atom) = -12.62
# - size of the total moment (μB/cell) = 0.00
data_Y2Si2O7
_chemical_formula_sum 'Y4 Si4 O14'
_symmetry_space_group_name_H-M 'P 1 21/c 1'
_symmetry_Int_Tables_number 14
_cell_length_a 4.707
_cell_length_b 10.842
_cell_length_c 5.585
_cell_angle_alpha 90.00
_cell_angle_beta 96.00
_cell_angle_gamma 90.00
loop_
_symmetry_equiv_pos_as_xyz
'x,y,z'
'-x,-y,-z'
'-x,y+1/2,-z+1/2'
'x,-y+1/2,z+1/2'
loop_
_atom_site_label
_atom_site_type_symbol
_atom_site_fract_x
_atom_site_fract_y
_atom_site_fract_z
Y1 Y 0.110 0.151 0.405
Si1 Si 0.361 0.612 0.644
O1 O 0.125 0.683 0.461
O2 O 0.206 0.551 0.866
O3 O 0.380 0.202 0.747
O4 O 0.500 0.000 0.000